(1)
A relaxed NaDyPd6O8 crystal. Source: Materials Project, functional meta-GGA r2SCAN.

a b c (Å): 5.755 5.755 5.755
angles (deg): 90.00 90.00 90.00
Fractional positions:
Na  0.000  0.000  0.000
Dy  0.500  0.500  0.500
Pd  0.000  0.249  0.500
Pd  0.000  0.751  0.500
Pd  0.249  0.500  0.000
Pd  0.500  0.000  0.249
Pd  0.500  0.000  0.751
Pd  0.751  0.500  0.000
O  0.259  0.259  0.259
O  0.259  0.259  0.741
O  0.259  0.741  0.259
O  0.259  0.741  0.741
O  0.741  0.259  0.259
O  0.741  0.259  0.741
O  0.741  0.741  0.259
O  0.741  0.741  0.741

Values from the calculation:
**Energy of formation from the pure elements**: -1301 meV/atom
**SG**: Pm-3, No. 200
**Total DFT energy (no corrections)**: -241.91 eV/cell
**Total moment**: 0.00 μB per cell

***

(2)
A relaxed NaDySnWO6 crystal. Source: Materials Project, functional meta-GGA r2SCAN.

a b c (Å): 5.828 5.828 5.828
angles (deg): 60.00 60.00 60.00
Fractional positions:
Na  0.000  0.000  0.000
Dy  0.750  0.750  0.750
Sn  0.500  0.500  0.500
W  0.250  0.250  0.250
O  0.017  0.017  0.483
O  0.017  0.483  0.017
O  0.017  0.483  0.483
O  0.483  0.017  0.017
O  0.483  0.017  0.483
O  0.483  0.483  0.017

Values from the calculation:
**Energy of formation from the pure elements**: -2375 meV/atom
**SG**: F-43m, No. 216
**Total DFT energy (no corrections)**: -171.25 eV/cell
**Total moment**: 0.00 μB per cell

***

(3)
A relaxed NaDyS2 crystal. Source: Materials Project, functional meta-GGA r2SCAN.

a b c (Å): 6.980 6.980 6.980
angles (deg): 33.02 33.02 33.02
Fractional positions:
Na  0.000  0.000  0.000
Dy  0.500  0.500  0.500
S  0.243  0.243  0.243
S  0.757  0.757  0.757

Values from the calculation:
**Energy of formation from the pure elements**: -2135 meV/atom
**SG**: R-3m, No. 166
**Total DFT energy (no corrections)**: -60.15 eV/cell
**Total moment**: 0.00 μB per cell

***

(4)
A relaxed NaDySe2 crystal. Source: Materials Project, functional meta-GGA r2SCAN.

a b c (Å): 7.313 7.313 7.313
angles (deg): 32.69 32.69 32.69
Fractional positions:
Na  0.000  0.000  0.000
Dy  0.500  0.500  0.500
Se  0.244  0.244  0.244
Se  0.756  0.756  0.756

Values from the calculation:
**Energy of formation from the pure elements**: -1993 meV/atom
**SG**: R-3m, No. 166
**Total DFT energy (no corrections)**: -72.14 eV/cell
**Total moment**: 0.00 μB per cell

***

(5)
A relaxed NaDyTl2 crystal. Source: Materials Project, functional meta-GGA r2SCAN.

a b c (Å): 5.292 5.292 5.292
angles (deg): 60.00 60.00 60.00
Fractional positions:
Na  0.000  0.000  0.000
Dy  0.500  0.500  0.500
Tl  0.250  0.250  0.250
Tl  0.750  0.750  0.750

Values from the calculation:
**Energy of formation from the pure elements**: -319 meV/atom
**SG**: Fm-3m, No. 225
**Total DFT energy (no corrections)**: -143.18 eV/cell
**Total moment**: 0.00 μB per cell

***

(6)
A relaxed DyNbRu2 crystal. Source: Materials Project, functional meta-GGA r2SCAN.

a b c (Å): 4.617 4.617 4.617
angles (deg): 60.00 60.00 60.00
Fractional positions:
Dy  0.000  0.000  0.000
Nb  0.500  0.500  0.500
Ru  0.250  0.250  0.250
Ru  0.750  0.750  0.750

Values from the calculation:
**Energy of formation from the pure elements**: -345 meV/atom
**SG**: Fm-3m, No. 225
**Total DFT energy (no corrections)**: -108.94 eV/cell
**Total moment**: 0.00 μB per cell

***

(7)
A relaxed NdDyZn2 crystal. Source: Materials Project, functional meta-GGA r2SCAN.

a b c (Å): 5.103 5.103 5.103
angles (deg): 60.00 60.00 60.00
Fractional positions:
Nd  0.000  0.000  0.000
Dy  0.500  0.500  0.500
Zn  0.250  0.250  0.250
Zn  0.750  0.750  0.750

Values from the calculation:
**Energy of formation from the pure elements**: -347 meV/atom
**SG**: Fm-3m, No. 225
**Total DFT energy (no corrections)**: -80.61 eV/cell
**Total moment**: 0.01 μB per cell

***

(8)
A relaxed Dy3Ni2 crystal. Source: Materials Project, functional meta-GGA r2SCAN.

a b c (Å): 6.845 6.845 9.533
angles (deg): 104.44 104.44 30.83
Fractional positions:
Dy  0.097  0.097  0.174
Dy  0.355  0.355  0.136
Dy  0.369  0.369  0.502
Dy  0.631  0.631  0.498
Dy  0.645  0.645  0.864
Dy  0.903  0.903  0.826
Ni  0.035  0.035  0.643
Ni  0.243  0.243  0.725
Ni  0.757  0.757  0.275
Ni  0.965  0.965  0.357

Values from the calculation:
**Energy of formation from the pure elements**: -350 meV/atom
**SG**: C2/m, No. 12
**Total DFT energy (no corrections)**: -243.31 eV/cell
**Total moment**: 0.55 μB per cell

***

(9)
A relaxed DyNi2 crystal. Source: Materials Project, functional meta-GGA r2SCAN.

a b c (Å): 5.011 5.011 5.011
angles (deg): 60.00 60.00 60.00
Fractional positions:
Dy  0.125  0.125  0.125
Dy  0.875  0.875  0.875
Ni  0.000  0.500  0.500
Ni  0.500  0.000  0.500
Ni  0.500  0.500  0.000
Ni  0.500  0.500  0.500

Values from the calculation:
**Energy of formation from the pure elements**: -418 meV/atom
**SG**: Fd-3m, No. 227
**Total DFT energy (no corrections)**: -114.40 eV/cell
**Total moment**: 0.00 μB per cell

***

(10)
A relaxed DyNiO3 crystal. Source: Materials Project, functional meta-GGA r2SCAN.

a b c (Å): 5.499 7.391 5.154
angles (deg): 90.00 90.00 90.00
Fractional positions:
Dy  0.074  0.250  0.020
Dy  0.426  0.750  0.520
Dy  0.574  0.250  0.480
Dy  0.926  0.750  0.980
Ni  0.000  0.000  0.500
Ni  0.000  0.500  0.500
Ni  0.500  0.000  0.000
Ni  0.500  0.500  0.000
O  0.027  0.750  0.401
O  0.197  0.550  0.805
O  0.197  0.950  0.805
O  0.303  0.050  0.305
O  0.303  0.450  0.305
O  0.473  0.250  0.901
O  0.527  0.750  0.099
O  0.697  0.550  0.695
O  0.697  0.950  0.695
O  0.803  0.050  0.195
O  0.803  0.450  0.195
O  0.973  0.250  0.599

Values from the calculation:
**Energy of formation from the pure elements**: -2570 meV/atom
**SG**: Pnma, No. 62
**Total DFT energy (no corrections)**: -298.93 eV/cell
**Total moment**: 4.00 μB per cell

***

(11)
A relaxed Dy2NiRu crystal. Source: Materials Project, functional meta-GGA r2SCAN.

a b c (Å): 4.763 4.763 4.763
angles (deg): 60.00 60.00 60.00
Fractional positions:
Dy  0.250  0.250  0.250
Dy  0.750  0.750  0.750
Ni  0.000  0.000  0.000
Ru  0.500  0.500  0.500

Values from the calculation:
**Energy of formation from the pure elements**: -400 meV/atom
**SG**: Fm-3m, No. 225
**Total DFT energy (no corrections)**: -102.97 eV/cell
**Total moment**: 0.00 μB per cell

***

(12)
A relaxed Dy2NiSb4 crystal. Source: Materials Project, functional meta-GGA r2SCAN.

a b c (Å): 4.309 4.309 9.335
angles (deg): 90.00 90.00 90.00
Fractional positions:
Dy  0.000  0.500  0.235
Dy  0.500  0.000  0.765
Ni  0.000  0.000  0.000
Sb  0.000  0.000  0.500
Sb  0.000  0.500  0.872
Sb  0.500  0.000  0.128
Sb  0.500  0.500  0.500

Values from the calculation:
**Energy of formation from the pure elements**: -826 meV/atom
**SG**: P-4m2, No. 115
**Total DFT energy (no corrections)**: -184.55 eV/cell
**Total moment**: 0.00 μB per cell